Entry 1:
DFT (PBE with a Hubbard U) results for Ti3Ni3O after structural relaxation. Values from VASP.

Computed properties:
ΔE_f ... -159.8 meV per atom
Size of the total moment ... 0.005 μB/atom
DFT total energy ... -155.13 eV/cell

```
&SYSTEM
  ibrav = 0, nat = 28, ntyp = 3
/
ATOMIC_SPECIES
Ti 47.87 Ti.upf
Ni 58.69 Ni.upf
O 16.00 O.upf
ATOMIC_POSITIONS crystal
Ti 0.0687 0.0687 0.6813
Ti 0.0687 0.6813 0.0687
Ti 0.0687 0.6813 0.6813
Ti 0.3187 0.3187 0.9313
Ti 0.3187 0.9313 0.3187
Ti 0.3187 0.9313 0.9313
Ti 0.6813 0.0687 0.0687
Ti 0.6813 0.0687 0.6813
Ti 0.6813 0.6813 0.0687
Ti 0.9313 0.3187 0.3187
Ti 0.9313 0.3187 0.9313
Ti 0.9313 0.9313 0.3187
Ni 0.0000 0.5000 0.5000
Ni 0.2893 0.2893 0.2893
Ni 0.2893 0.2893 0.6321
Ni 0.2893 0.6321 0.2893
Ni 0.3679 0.7107 0.7107
Ni 0.5000 0.0000 0.5000
Ni 0.5000 0.5000 0.0000
Ni 0.5000 0.5000 0.5000
Ni 0.6321 0.2893 0.2893
Ni 0.7107 0.3679 0.7107
Ni 0.7107 0.7107 0.3679
Ni 0.7107 0.7107 0.7107
O 0.0000 0.0000 0.0000
O 0.0000 0.0000 0.5000
O 0.0000 0.5000 0.0000
O 0.5000 0.0000 0.0000
CELL_PARAMETERS angstrom
0.0000 5.4944 5.4944
5.4944 0.0000 5.4944
5.4944 5.4944 0.0000
```


Entry 2:
DFT (PBE with a Hubbard U) results for Sr2MgFeO4 after structural relaxation. Values from VASP.

Computed properties:
ΔE_f ... -2297.1 meV per atom
Relative energy among the computed polymorphs ... 269.4 meV per atom
Size of the total moment ... 0.500 μB/atom
DFT total energy ... -93.23 eV/cell

```
&SYSTEM
  ibrav = 0, nat = 16, ntyp = 4
/
ATOMIC_SPECIES
Sr 87.62 Sr.upf
Mg 24.30 Mg.upf
Fe 55.84 Fe.upf
O 16.00 O.upf
ATOMIC_POSITIONS crystal
Sr 0.0000 0.0000 0.1278
Sr 0.0000 0.0000 0.8722
Sr 0.5000 0.5000 0.3722
Sr 0.5000 0.5000 0.6278
Mg 0.0000 0.5000 0.2500
Mg 0.5000 0.0000 0.7500
Fe 0.0000 0.0000 0.5000
Fe 0.5000 0.5000 0.0000
O 0.0000 0.0000 0.3067
O 0.0000 0.0000 0.6933
O 0.0000 0.5000 0.0485
O 0.0000 0.5000 0.4515
O 0.5000 0.0000 0.5485
O 0.5000 0.0000 0.9515
O 0.5000 0.5000 0.1933
O 0.5000 0.5000 0.8067
CELL_PARAMETERS angstrom
3.4897 0.0000 0.0000
0.0000 3.4897 0.0000
0.0000 0.0000 19.4800
```


Entry 3:
DFT (PBE with a Hubbard U) results for LaMn3V4O12 after structural relaxation. Values from VASP.

Computed properties:
ΔE_f ... -2542.1 meV per atom
Relative energy among the computed polymorphs ... 0.0 meV per atom
Size of the total moment ... 1.000 μB/atom
DFT total energy ... -158.93 eV/cell

```
&SYSTEM
  ibrav = 0, nat = 20, ntyp = 4
/
ATOMIC_SPECIES
La 138.91 La.upf
Mn 54.94 Mn.upf
V 50.94 V.upf
O 16.00 O.upf
ATOMIC_POSITIONS crystal
La 0.0000 0.0000 0.0000
Mn 0.0000 0.0000 0.5000
Mn 0.5000 0.5000 0.0000
Mn 0.5000 0.5000 0.5000
V 0.0000 0.5000 0.0000
V 0.0000 0.5000 0.5000
V 0.5000 0.0000 0.0000
V 0.5000 0.0000 0.5000
O 0.1080 0.4841 0.2855
O 0.1791 0.1791 0.8884
O 0.1856 0.1856 0.4783
O 0.3058 0.6836 0.1738
O 0.3164 0.6942 0.8262
O 0.4841 0.1080 0.2855
O 0.5159 0.8920 0.7145
O 0.6836 0.3058 0.1738
O 0.6942 0.3164 0.8262
O 0.8144 0.8144 0.5217
O 0.8209 0.8209 0.1116
O 0.8920 0.5159 0.7145
CELL_PARAMETERS angstrom
5.3947 -3.7766 0.0000
5.3947 3.7766 0.0000
-5.3053 0.0000 5.4106
```


Entry 4:
DFT (PBE with a Hubbard U) results for Co4PbC16O16 after structural relaxation. Values from VASP.

Computed properties:
ΔE_f ... -797.8 meV per atom
Size of the total moment ... 0.000 μB/atom
DFT total energy ... -1083.79 eV/cell

```
&SYSTEM
  ibrav = 0, nat = 148, ntyp = 4
/
ATOMIC_SPECIES
Co 58.93 Co.upf
Pb 207.20 Pb.upf
C 12.01 C.upf
O 16.00 O.upf
ATOMIC_POSITIONS crystal
Co 0.0629 0.2318 0.1775
Co 0.0629 0.2682 0.6775
Co 0.2327 0.0670 0.4898
Co 0.2327 0.4330 0.9898
Co 0.2673 0.0670 0.9898
Co 0.2673 0.4330 0.4898
Co 0.4371 0.2318 0.6775
Co 0.4371 0.2682 0.1775
Co 0.5629 0.7318 0.8225
Co 0.5629 0.7682 0.3225
Co 0.7327 0.5670 0.5102
Co 0.7327 0.9330 0.0102
Co 0.7673 0.5670 0.0102
Co 0.7673 0.9330 0.5102
Co 0.9371 0.7318 0.3225
Co 0.9371 0.7682 0.8225
Pb 0.2500 0.2500 0.0845
Pb 0.2500 0.2500 0.5845
Pb 0.7500 0.7500 0.4155
Pb 0.7500 0.7500 0.9155
C 0.0046 0.1706 0.0945
C 0.0046 0.3294 0.5945
C 0.0538 0.7222 0.2632
C 0.0538 0.7778 0.7632
C 0.0679 0.1244 0.6809
C 0.0679 0.3756 0.1809
C 0.0951 0.1097 0.4807
C 0.0951 0.3903 0.9807
C 0.1465 0.1474 0.2359
C 0.1465 0.3526 0.7359
C 0.1666 0.1297 0.9308
C 0.1666 0.3703 0.4308
C 0.2176 0.5487 0.9317
C 0.2176 0.9513 0.4317
C 0.2224 0.5047 0.5735
C 0.2224 0.9953 0.0735
C 0.2776 0.5047 0.0735
C 0.2776 0.9953 0.5735
C 0.2824 0.5487 0.4317
C 0.2824 0.9513 0.9317
C 0.3334 0.1297 0.4308
C 0.3334 0.3703 0.9308
C 0.3535 0.1474 0.7359
C 0.3535 0.3526 0.2359
C 0.4049 0.1097 0.9807
C 0.4049 0.3903 0.4807
C 0.4321 0.1244 0.1809
C 0.4321 0.3756 0.6809
C 0.4462 0.7222 0.7632
C 0.4462 0.7778 0.2632
C 0.4954 0.1706 0.5945
C 0.4954 0.3294 0.0945
C 0.5046 0.6706 0.9055
C 0.5046 0.8294 0.4055
C 0.5538 0.2222 0.7368
C 0.5538 0.2778 0.2368
C 0.5679 0.6244 0.3191
C 0.5679 0.8756 0.8191
C 0.5951 0.6097 0.5193
C 0.5951 0.8903 0.0193
C 0.6465 0.6474 0.7641
C 0.6465 0.8526 0.2641
C 0.6666 0.6297 0.0692
C 0.6666 0.8703 0.5692
C 0.7176 0.0487 0.0683
C 0.7176 0.4513 0.5683
C 0.7224 0.0047 0.4265
C 0.7224 0.4953 0.9265
C 0.7776 0.0047 0.9265
C 0.7776 0.4953 0.4265
C 0.7824 0.0487 0.5683
C 0.7824 0.4513 0.0683
C 0.8334 0.6297 0.5692
C 0.8334 0.8703 0.0692
C 0.8535 0.6474 0.2641
C 0.8535 0.8526 0.7641
C 0.9049 0.6097 0.0193
C 0.9049 0.8903 0.5193
C 0.9321 0.6244 0.8191
C 0.9321 0.8756 0.3191
C 0.9462 0.2222 0.2368
C 0.9462 0.2778 0.7368
C 0.9954 0.6706 0.4055
C 0.9954 0.8294 0.9055
O 0.0042 0.1314 0.4700
O 0.0042 0.3686 0.9700
O 0.0394 0.6279 0.4566
O 0.0394 0.8721 0.9566
O 0.0599 0.0309 0.6848
O 0.0599 0.4691 0.1848
O 0.1010 0.1620 0.8883
O 0.1010 0.3380 0.3883
O 0.1301 0.7155 0.2245
O 0.1301 0.7845 0.7245
O 0.1940 0.5578 0.6249
O 0.1940 0.9422 0.1249
O 0.1946 0.0897 0.2764
O 0.1946 0.4103 0.7764
O 0.2066 0.6248 0.8935
O 0.2066 0.8752 0.3935
O 0.2934 0.6248 0.3935
O 0.2934 0.8752 0.8935
O 0.3054 0.0897 0.7764
O 0.3054 0.4103 0.2764
O 0.3060 0.5578 0.1249
O 0.3060 0.9422 0.6249
O 0.3699 0.7155 0.7245
O 0.3699 0.7845 0.2245
O 0.3990 0.1620 0.3883
O 0.3990 0.3380 0.8883
O 0.4401 0.0309 0.1848
O 0.4401 0.4691 0.6848
O 0.4606 0.6279 0.9566
O 0.4606 0.8721 0.4566
O 0.4958 0.1314 0.9700
O 0.4958 0.3686 0.4700
O 0.5042 0.6314 0.5300
O 0.5042 0.8686 0.0300
O 0.5394 0.1279 0.5434
O 0.5394 0.3721 0.0434
O 0.5599 0.5309 0.3152
O 0.5599 0.9691 0.8152
O 0.6010 0.6620 0.1117
O 0.6010 0.8380 0.6117
O 0.6301 0.2155 0.7755
O 0.6301 0.2845 0.2755
O 0.6940 0.0578 0.3751
O 0.6940 0.4422 0.8751
O 0.6946 0.5897 0.7236
O 0.6946 0.9103 0.2236
O 0.7066 0.1248 0.1065
O 0.7066 0.3752 0.6065
O 0.7934 0.1248 0.6065
O 0.7934 0.3752 0.1065
O 0.8054 0.5897 0.2236
O 0.8054 0.9103 0.7236
O 0.8060 0.0578 0.8751
O 0.8060 0.4422 0.3751
O 0.8699 0.2155 0.2755
O 0.8699 0.2845 0.7755
O 0.8990 0.6620 0.6117
O 0.8990 0.8380 0.1117
O 0.9401 0.5309 0.8152
O 0.9401 0.9691 0.3152
O 0.9606 0.1279 0.0434
O 0.9606 0.3721 0.5434
O 0.9958 0.6314 0.0300
O 0.9958 0.8686 0.5300
CELL_PARAMETERS angstrom
12.2595 0.0000 0.0000
0.0000 12.3448 0.0000
0.0000 0.0000 17.2874
```


Entry 5:
DFT (PBE with a Hubbard U) results for Li9Mn2Co5O16 after structural relaxation. Values from VASP.

Computed properties:
ΔE_f ... -1793.3 meV per atom
Relative energy among the computed polymorphs ... 70.9 meV per atom
Size of the total moment ... 0.332 μB/atom
DFT total energy ... -185.08 eV/cell

```
&SYSTEM
  ibrav = 0, nat = 32, ntyp = 4
/
ATOMIC_SPECIES
Li 6.94 Li.upf
Mn 54.94 Mn.upf
Co 58.93 Co.upf
O 16.00 O.upf
ATOMIC_POSITIONS crystal
Li 0.0000 0.0000 0.0000
Li 0.0011 0.5000 0.7686
Li 0.0055 0.0000 0.5400
Li 0.2467 0.5000 0.1355
Li 0.2564 0.5000 0.6464
Li 0.5017 0.0000 0.7669
Li 0.5059 0.0000 0.2753
Li 0.7519 0.5000 0.8828
Li 0.7572 0.5000 0.4112
Mn 0.0028 0.5000 0.2678
Mn 0.4977 0.5000 0.0200
Co 0.2317 0.0000 0.8760
Co 0.2579 0.0000 0.3973
Co 0.5114 0.5000 0.5235
Co 0.7512 0.0000 0.1426
Co 0.7706 0.0000 0.6616
O 0.1128 0.0000 0.2114
O 0.1352 0.5000 0.4360
O 0.1369 0.5000 0.9551
O 0.1396 0.0000 0.7126
O 0.3681 0.5000 0.3441
O 0.3763 0.5000 0.8548
O 0.3862 0.0000 0.5783
O 0.3924 0.0000 0.0817
O 0.6076 0.0000 0.9611
O 0.6236 0.0000 0.4576
O 0.6239 0.5000 0.1869
O 0.6351 0.5000 0.6966
O 0.8677 0.0000 0.8261
O 0.8716 0.5000 0.5870
O 0.8792 0.5000 0.1013
O 0.8957 0.0000 0.3279
CELL_PARAMETERS angstrom
9.7794 0.0000 0.0000
0.0000 2.8800 0.0000
-1.6436 0.0000 10.2381
```


Entry 6:
DFT (PBE with a Hubbard U) results for K8ThMo6O24 after structural relaxation. Values from VASP.

Computed properties:
ΔE_f ... -2343.6 meV per atom
Size of the total moment ... 0.000 μB/atom
DFT total energy ... -511.65 eV/cell

```
&SYSTEM
  ibrav = 0, nat = 78, ntyp = 4
/
ATOMIC_SPECIES
K 39.10 K.upf
Th 232.04 Th.upf
Mo 95.94 Mo.upf
O 16.00 O.upf
ATOMIC_POSITIONS crystal
K 0.0046 0.1442 0.0434
K 0.0096 0.3457 0.4587
K 0.0163 0.7488 0.2481
K 0.3109 0.7052 0.4515
K 0.3237 0.4829 0.0528
K 0.3306 0.1781 0.9586
K 0.3330 0.0765 0.2516
K 0.3337 0.9958 0.5502
K 0.6663 0.0042 0.4498
K 0.6670 0.9235 0.7484
K 0.6694 0.8219 0.0414
K 0.6763 0.5171 0.9472
K 0.6891 0.2948 0.5485
K 0.9837 0.2512 0.7519
K 0.9904 0.6543 0.5413
K 0.9954 0.8558 0.9566
Th 0.3086 0.5685 0.7488
Th 0.6914 0.4315 0.2512
Mo 0.0016 0.9462 0.6497
Mo 0.0093 0.5507 0.8545
Mo 0.3295 0.3882 0.3441
Mo 0.3310 0.8909 0.8431
Mo 0.3342 0.3034 0.6437
Mo 0.3484 0.7704 0.1466
Mo 0.6516 0.2296 0.8534
Mo 0.6658 0.6966 0.3563
Mo 0.6690 0.1091 0.1569
Mo 0.6705 0.6118 0.6559
Mo 0.9907 0.4493 0.1455
Mo 0.9984 0.0538 0.3503
O 0.0074 0.1170 0.6035
O 0.0109 0.3761 0.8938
O 0.0343 0.0704 0.2287
O 0.0532 0.5937 0.7308
O 0.1423 0.0514 0.4057
O 0.1472 0.3068 0.1051
O 0.1714 0.5385 0.8980
O 0.1752 0.3072 0.6101
O 0.1772 0.0173 0.8970
O 0.1799 0.7893 0.6322
O 0.1963 0.5166 0.4077
O 0.2025 0.7817 0.0882
O 0.2560 0.4283 0.2319
O 0.3035 0.7352 0.8292
O 0.3057 0.7571 0.2674
O 0.3278 0.4847 0.6002
O 0.3392 0.3037 0.7670
O 0.3575 0.9905 0.7326
O 0.3588 0.2063 0.4012
O 0.3720 0.9321 0.1023
O 0.4875 0.4036 0.8665
O 0.4889 0.8215 0.9111
O 0.4949 0.1685 0.6007
O 0.4986 0.5998 0.6661
O 0.5014 0.4002 0.3339
O 0.5051 0.8315 0.3993
O 0.5111 0.1785 0.0889
O 0.5125 0.5964 0.1335
O 0.6280 0.0679 0.8977
O 0.6412 0.7937 0.5988
O 0.6425 0.0095 0.2674
O 0.6608 0.6963 0.2330
O 0.6722 0.5153 0.3998
O 0.6943 0.2429 0.7326
O 0.6965 0.2648 0.1708
O 0.7440 0.5717 0.7681
O 0.7975 0.2183 0.9118
O 0.8037 0.4834 0.5923
O 0.8201 0.2107 0.3678
O 0.8228 0.9827 0.1030
O 0.8248 0.6928 0.3899
O 0.8286 0.4615 0.1020
O 0.8528 0.6932 0.8949
O 0.8577 0.9486 0.5943
O 0.9468 0.4063 0.2692
O 0.9657 0.9296 0.7713
O 0.9891 0.6239 0.1062
O 0.9926 0.8830 0.3965
CELL_PARAMETERS angstrom
10.5062 0.0000 0.0000
4.9824 9.2617 0.0000
1.7627 3.1569 14.3032
```